No. 1
A plane-wave DFT calculation with GGA+U was carried out for a relaxed structure of MnNiO2.

a = 3.0944 Å, b = 3.0944 Å, c = 4.3741 Å
α = 90.00°, β = 90.00°, γ = 90.00°
Element x y z (fractional)
Mn (0.5000, 0.5000, 0.5000)
O (0.5000, 0.5000, 0.0000)
O (0.0000, 0.0000, 0.5000)
Ni (0.0000, 0.0000, 0.0000)



No. 2
A plane-wave DFT calculation with GGA+U was carried out for a relaxed structure of Cs2V2H2O7.

a = 5.9254 Å, b = 9.0682 Å, c = 18.5836 Å
α = 90.00°, β = 90.00°, γ = 90.00°
Element x y z (fractional)
Cs (0.4040, 0.7500, 0.0358)
Cs (0.4040, 0.2500, 0.4642)
Cs (0.4098, 0.7500, 0.2981)
Cs (0.5902, 0.2500, 0.7019)
Cs (0.5960, 0.2500, 0.9642)
Cs (0.4098, 0.2500, 0.2019)
Cs (0.5960, 0.7500, 0.5358)
Cs (0.5902, 0.7500, 0.7981)
O (0.8395, 0.5538, 0.6575)
O (0.1337, 0.7500, 0.4495)
O (0.7702, 0.4499, 0.0972)
O (0.1337, 0.2500, 0.0505)
O (0.2194, 0.0000, 0.7500)
O (0.7702, 0.0501, 0.0972)
O (0.2298, 0.0501, 0.5972)
O (0.2298, 0.9499, 0.9028)
O (0.8663, 0.2500, 0.5505)
O (0.8395, 0.0538, 0.8425)
O (0.7702, 0.5501, 0.4028)
O (0.2298, 0.4499, 0.5972)
O (0.7773, 0.2500, 0.3496)
O (0.7806, 0.0000, 0.2500)
O (0.1605, 0.5538, 0.1575)
O (0.2227, 0.2500, 0.8496)
O (0.8663, 0.7500, 0.9495)
O (0.8395, 0.9462, 0.6575)
O (0.1605, 0.0538, 0.3425)
O (0.2298, 0.5501, 0.9028)
O (0.1605, 0.4462, 0.3425)
O (0.7773, 0.7500, 0.1504)
O (0.1605, 0.9462, 0.1575)
O (0.7702, 0.9499, 0.4028)
O (0.8395, 0.4462, 0.8425)
O (0.2227, 0.7500, 0.6504)
O (0.7806, 0.5000, 0.2500)
O (0.2194, 0.5000, 0.7500)
V (0.1208, 0.0602, 0.8387)
V (0.1208, 0.4398, 0.8387)
V (0.8792, 0.9398, 0.1613)
V (0.8792, 0.5602, 0.1613)
V (0.1208, 0.9398, 0.6613)
V (0.8792, 0.0602, 0.3387)
V (0.1208, 0.5602, 0.6613)
V (0.8792, 0.4398, 0.3387)
H (0.0396, 0.8348, 0.4355)
H (0.9604, 0.1652, 0.5645)
H (0.0396, 0.1652, 0.0645)
H (0.9604, 0.3348, 0.5645)
H (0.9604, 0.6652, 0.9355)
H (0.0396, 0.3348, 0.0645)
H (0.9604, 0.8348, 0.9355)
H (0.0396, 0.6652, 0.4355)



No. 3
A plane-wave DFT calculation with GGA+U was carried out for a relaxed structure of Mn4Be3Si3SO12.

a = 8.3867 Å, b = 8.3867 Å, c = 8.3867 Å
α = 90.00°, β = 90.00°, γ = 90.00°
Element x y z (fractional)
Mn (0.1713, 0.8287, 0.8287)
Mn (0.6713, 0.3287, 0.3287)
Mn (0.6713, 0.6713, 0.6713)
Mn (0.8287, 0.1713, 0.8287)
Mn (0.3287, 0.6713, 0.3287)
Mn (0.1713, 0.1713, 0.1713)
Mn (0.3287, 0.3287, 0.6713)
Mn (0.8287, 0.8287, 0.1713)
O (0.3583, 0.0818, 0.6416)
O (0.1417, 0.1416, 0.4182)
O (0.0818, 0.3584, 0.6417)
O (0.4182, 0.8583, 0.8584)
O (0.1417, 0.8584, 0.5818)
O (0.9182, 0.3584, 0.3583)
O (0.8583, 0.8584, 0.4182)
O (0.1416, 0.5818, 0.8583)
O (0.6417, 0.0818, 0.3584)
O (0.0818, 0.6416, 0.3583)
O (0.9182, 0.6416, 0.6417)
O (0.6416, 0.3583, 0.0818)
O (0.6417, 0.9182, 0.6416)
O (0.3584, 0.3583, 0.9182)
O (0.6416, 0.6417, 0.9182)
O (0.5818, 0.8583, 0.1416)
O (0.3583, 0.9182, 0.3584)
O (0.1416, 0.4182, 0.1417)
O (0.3584, 0.6417, 0.0818)
O (0.8583, 0.1416, 0.5818)
O (0.4182, 0.1417, 0.1416)
O (0.5818, 0.1417, 0.8584)
O (0.8584, 0.4182, 0.8583)
O (0.8584, 0.5818, 0.1417)
Be (0.5000, 0.7500, 0.0000)
Be (0.7500, 0.0000, 0.5000)
Be (0.0000, 0.5000, 0.7500)
Be (0.2500, 0.0000, 0.5000)
Be (0.0000, 0.5000, 0.2500)
Be (0.5000, 0.2500, 0.0000)
Si (0.0000, 0.2500, 0.5000)
Si (0.0000, 0.7500, 0.5000)
Si (0.2500, 0.5000, 0.0000)
Si (0.7500, 0.5000, 0.0000)
Si (0.5000, 0.0000, 0.2500)
Si (0.5000, 0.0000, 0.7500)
S (0.0000, 0.0000, 0.0000)
S (0.5000, 0.5000, 0.5000)

Computed properties:
The piezoelectric modulus e_max comes out at 0.1 C/m².



No. 4
A plane-wave DFT calculation with GGA+U was carried out for a relaxed structure of Li3Co4SnO8.

a = 6.0134 Å, b = 6.0134 Å, c = 6.0916 Å
α = 60.08°, β = 60.08°, γ = 60.56°
Element x y z (fractional)
Li (0.0000, 0.5000, 0.0000)
Li (0.5000, 0.0000, 0.0000)
Li (0.0000, 0.0000, 0.5000)
Co (0.5000, 0.0000, 0.5000)
Co (0.0000, 0.0000, 0.0000)
Co (0.5000, 0.5000, 0.5000)
Co (0.0000, 0.5000, 0.5000)
O (0.2553, 0.2553, 0.2622)
O (0.7447, 0.7447, 0.7378)
O (0.7466, 0.2598, 0.2399)
O (0.2534, 0.7402, 0.7601)
O (0.7504, 0.7504, 0.2660)
O (0.7402, 0.2534, 0.7601)
O (0.2496, 0.2496, 0.7340)
O (0.2598, 0.7466, 0.2399)
Sn (0.5000, 0.5000, 0.0000)

Computed properties:
The value obtained for the energy above the most stable polymorph in this dataset is 8 meV per atom.



No. 5
A plane-wave DFT calculation with GGA+U was carried out for a relaxed structure of NaW8O24.

a = 16.0246 Å, b = 7.5760 Å, c = 7.5766 Å
α = 90.00°, β = 90.00°, γ = 90.00°
Element x y z (fractional)
O (0.3930, 0.5254, 0.2518)
O (0.1412, 0.4728, 0.2512)
O (0.7703, 0.9992, 0.5021)
O (0.1422, 0.5257, 0.7524)
O (0.8927, 0.5243, 0.2489)
O (0.0170, 0.0033, 0.0029)
O (0.3942, 0.7512, 0.5282)
O (0.6427, 0.2514, 0.9751)
O (0.2657, 0.9980, 0.9996)
O (0.7703, 0.5004, 0.9976)
O (0.6426, 0.0253, 0.2519)
O (0.2703, 0.4996, 0.0024)
O (0.8942, 0.2488, 0.4718)
O (0.0165, 0.4969, 0.4973)
O (0.0190, 0.4970, 0.0031)
O (0.6427, 0.7490, 0.4759)
O (0.3934, 0.9750, 0.2484)
O (0.3927, 0.4757, 0.7511)
O (0.1427, 0.7486, 0.0249)
O (0.6415, 0.9723, 0.7507)
O (0.1424, 0.7518, 0.4757)
O (0.3932, 0.2524, 0.4740)
O (0.6431, 0.7507, 0.0236)
O (0.8936, 0.7521, 0.9737)
O (0.8930, 0.4746, 0.7482)
O (0.3945, 0.7492, 0.9720)
O (0.8932, 0.7476, 0.5260)
O (0.2653, 0.5025, 0.5008)
O (0.3930, 0.0247, 0.7492)
O (0.1427, 0.2510, 0.5241)
O (0.3936, 0.2479, 0.0263)
O (0.6422, 0.4743, 0.2476)
O (0.7653, 0.4975, 0.4992)
O (0.1431, 0.2493, 0.9764)
O (0.5165, 0.5031, 0.5027)
O (0.8945, 0.2508, 0.0280)
O (0.8930, 0.9753, 0.2508)
O (0.2703, 0.0008, 0.4979)
O (0.8934, 0.0250, 0.7516)
O (0.6424, 0.2482, 0.5243)
O (0.5170, 0.9967, 0.9971)
O (0.7657, 0.0020, 0.0004)
O (0.0190, 0.0027, 0.4969)
O (0.6412, 0.5272, 0.7488)
O (0.1415, 0.0277, 0.2493)
O (0.5190, 0.5030, 0.9969)
O (0.1426, 0.9747, 0.7481)
O (0.5190, 0.9973, 0.5031)
W (0.9080, 0.9938, 0.5063)
W (0.8760, 0.0034, 0.0041)
W (0.6280, 0.0059, 0.0056)
W (0.6600, 0.5037, 0.9962)
W (0.3760, 0.9966, 0.9959)
W (0.4080, 0.4942, 0.0065)
W (0.4080, 0.0062, 0.4937)
W (0.1280, 0.9941, 0.9944)
W (0.1275, 0.5064, 0.5062)
W (0.8756, 0.4962, 0.4956)
W (0.3756, 0.5038, 0.5044)
W (0.6600, 0.9958, 0.5032)
W (0.6275, 0.4936, 0.4938)
W (0.9080, 0.5058, 0.9935)
W (0.1600, 0.0042, 0.4968)
W (0.1600, 0.4963, 0.0038)
Na (0.0179, 0.2498, 0.2503)
Na (0.5179, 0.7502, 0.7497)



No. 6
A plane-wave DFT calculation with GGA+U was carried out for a relaxed structure of LiV2F7.

a = 7.4695 Å, b = 7.4695 Å, c = 7.4695 Å
α = 123.02°, β = 119.39°, γ = 87.95°
Element x y z (fractional)
F (0.0499, 0.2944, 0.2445)
F (0.9501, 0.7056, 0.7555)
F (0.3186, 0.6848, 0.7613)
F (0.2500, 0.0945, 0.8445)
F (0.1814, 0.9426, 0.3662)
F (0.9236, 0.6848, 0.3662)
F (0.0764, 0.3152, 0.6338)
F (0.6814, 0.3152, 0.2387)
F (0.5764, 0.9426, 0.7613)
F (0.7500, 0.9055, 0.1555)
F (0.5499, 0.3054, 0.7555)
F (0.8186, 0.0574, 0.6338)
F (0.4236, 0.0574, 0.2387)
F (0.4501, 0.6946, 0.2445)
V (0.0000, 0.0000, 0.5000)
V (0.0000, 0.5000, 0.5000)
V (0.5000, 0.0000, 0.0000)
V (0.5000, 0.0000, 0.5000)
Li (0.5000, 0.5000, 0.0000)
Li (0.0000, 0.0000, 0.0000)

Computed properties:
The value obtained for the energy above the most stable polymorph in this dataset is 22 meV per atom.



No. 7
A plane-wave DFT calculation with GGA+U was carried out for a relaxed structure of Mn2Cd3O5.

a = 5.7212 Å, b = 5.7408 Å, c = 8.7463 Å
α = 109.08°, β = 71.09°, γ = 99.45°
Element x y z (fractional)
Cd (0.3043, 0.5043, 0.9006)
Cd (0.0944, 0.4980, 0.2983)
Cd (0.8043, 0.0043, 0.4006)
Cd (0.1992, 0.0009, 0.5993)
Cd (0.6991, 0.5009, 0.0994)
Cd (0.5944, 0.9979, 0.7983)
O (0.4486, 0.7529, 0.3486)
O (0.8303, 0.7305, 0.5505)
O (0.5669, 0.2723, 0.6484)
O (0.1646, 0.2619, 0.4539)
O (0.7326, 0.2435, 0.2468)
O (0.6646, 0.7620, 0.9539)
O (0.0669, 0.7723, 0.1485)
O (0.9486, 0.2529, 0.8486)
O (0.3304, 0.2305, 0.0505)
O (0.2327, 0.7435, 0.7468)
Mn (0.4968, 0.4990, 0.4989)
Mn (0.9968, 0.9990, 0.9989)
Mn (0.4027, 0.0018, 0.1995)
Mn (0.9028, 0.5018, 0.6995)



No. 8
A plane-wave DFT calculation with GGA+U was carried out for a relaxed structure of MgFe10O16.

a = 10.2139 Å, b = 10.2139 Å, c = 10.2139 Å
α = 33.98°, β = 33.98°, γ = 33.98°
Element x y z (fractional)
O (0.8794, 0.3819, 0.8794)
O (0.8462, 0.3964, 0.3964)
O (0.8793, 0.8793, 0.8793)
O (0.6132, 0.6132, 0.1489)
O (0.1119, 0.1119, 0.6281)
O (0.1119, 0.6281, 0.1119)
O (0.3819, 0.8794, 0.8794)
O (0.6281, 0.1119, 0.1119)
O (0.6132, 0.1489, 0.6132)
O (0.3964, 0.3964, 0.8462)
O (0.3770, 0.3770, 0.3770)
O (0.1489, 0.6132, 0.6132)
O (0.8794, 0.8794, 0.3819)
O (0.1206, 0.1206, 0.1206)
O (0.6205, 0.6205, 0.6205)
O (0.3964, 0.8462, 0.3964)
Fe (0.6876, 0.6876, 0.6876)
Fe (0.2425, 0.7557, 0.2425)
Fe (0.2425, 0.2425, 0.7557)
Fe (0.2502, 0.7522, 0.7522)
Fe (0.5027, 0.5027, 0.5027)
Fe (0.7522, 0.7522, 0.2502)
Fe (0.3072, 0.3072, 0.3072)
Fe (0.8126, 0.8126, 0.8126)
Fe (0.7557, 0.2425, 0.2425)
Fe (0.7522, 0.2502, 0.7522)
Mg (0.1909, 0.1909, 0.1909)



No. 9
A plane-wave DFT calculation with GGA+U was carried out for a relaxed structure of BaGd2CoO5.

a = 6.7742 Å, b = 6.7742 Å, c = 6.7742 Å
α = 147.57°, β = 128.58°, γ = 62.11°
Element x y z (fractional)
Ba (0.0000, 0.5000, 0.5000)
O (0.4066, 0.1474, 0.2592)
O (0.5000, 0.5000, 0.0000)
O (0.8882, 0.1474, 0.7408)
O (0.1118, 0.8526, 0.2592)
O (0.5934, 0.8526, 0.7408)
Co (0.5000, 0.0000, 0.5000)
Gd (0.7027, 0.7027, 0.0000)
Gd (0.2973, 0.2973, 0.0000)



No. 10
A plane-wave DFT calculation with GGA+U was carried out for a relaxed structure of Sr3V3Bi2O14.

a = 7.1219 Å, b = 7.3085 Å, c = 14.2999 Å
α = 99.12°, β = 96.84°, γ = 109.85°
Element x y z (fractional)
O (0.3660, 0.1780, 0.7752)
O (0.8766, 0.9293, 0.3975)
O (0.6340, 0.8220, 0.2248)
O (0.1407, 0.4105, 0.8422)
O (0.9350, 0.8506, 0.7403)
O (0.4989, 0.6131, 0.4060)
O (0.4110, 0.0700, 0.2812)
O (0.8773, 0.6179, 0.5457)
O (0.1227, 0.3821, 0.4543)
O (0.9824, 0.6562, 0.9471)
O (0.2947, 0.8392, 0.8523)
O (0.3905, 0.6821, 0.0151)
O (0.8593, 0.5895, 0.1578)
O (0.6095, 0.3179, 0.9849)
O (0.6637, 0.1859, 0.4689)
O (0.0176, 0.3438, 0.0529)
O (0.5890, 0.9300, 0.7188)
O (0.1839, 0.0063, 0.0939)
O (0.5852, 0.5882, 0.7999)
O (0.1292, 0.6706, 0.3395)
O (0.4148, 0.4118, 0.2001)
O (0.3363, 0.8141, 0.5311)
O (0.0650, 0.1494, 0.2597)
O (0.1234, 0.0707, 0.6025)
O (0.8161, 0.9937, 0.9061)
O (0.8708, 0.3294, 0.6605)
O (0.7053, 0.1608, 0.1477)
O (0.5011, 0.3869, 0.5940)
V (0.2078, 0.6533, 0.9168)
V (0.2625, 0.6095, 0.4319)
V (0.7922, 0.3467, 0.0832)
V (0.7375, 0.3905, 0.5681)
V (0.2730, 0.1662, 0.2052)
V (0.7270, 0.8338, 0.7948)
Sr (0.2584, 0.0887, 0.4424)
Sr (0.2547, 0.6846, 0.1690)
Sr (0.2271, 0.1674, 0.9419)
Sr (0.7729, 0.8326, 0.0581)
Sr (0.7416, 0.9113, 0.5576)
Sr (0.7453, 0.3154, 0.8310)
Bi (0.7711, 0.1202, 0.3146)
Bi (0.7297, 0.6322, 0.3019)
Bi (0.2703, 0.3678, 0.6981)
Bi (0.2289, 0.8798, 0.6854)



No. 11
A plane-wave DFT calculation with GGA+U was carried out for a relaxed structure of FeSe2O6.

a = 9.2524 Å, b = 9.2524 Å, c = 9.2524 Å
α = 107.94°, β = 107.94°, γ = 112.58°
Element x y z (fractional)
O (0.6823, 0.8398, 0.5306)
O (0.1602, 0.6908, 0.8424)
O (0.6764, 0.0526, 0.2219)
O (0.8483, 0.3177, 0.1576)
O (0.3344, 0.9599, 0.2099)
O (0.0898, 0.4323, 0.0306)
O (0.9156, 0.6255, 0.1255)
O (0.8755, 0.6656, 0.6255)
O (0.3026, 0.4264, 0.7219)
O (0.9474, 0.1692, 0.6238)
O (0.4192, 0.6974, 0.1238)
O (0.8308, 0.4546, 0.7781)
O (0.9408, 0.9102, 0.3424)
O (0.5454, 0.3236, 0.3762)
O (0.3092, 0.1517, 0.4694)
O (0.5736, 0.2954, 0.8762)
O (0.4017, 0.0592, 0.9694)
O (0.0401, 0.2500, 0.3745)
O (0.5677, 0.5983, 0.6576)
O (0.2099, 0.0844, 0.7099)
O (0.5000, 0.7901, 0.8745)
O (0.3745, 0.5000, 0.2901)
O (0.7500, 0.1245, 0.7901)
O (0.7046, 0.5808, 0.2781)
Se (0.8476, 0.1406, 0.1792)
Se (0.9614, 0.6685, 0.8208)
Se (0.2886, 0.6094, 0.2070)
Se (0.8594, 0.0386, 0.7070)
Se (0.3906, 0.5976, 0.6792)
Se (0.4024, 0.0815, 0.7930)
Se (0.3315, 0.1524, 0.2930)
Se (0.9185, 0.7114, 0.3208)
Fe (0.4156, 0.8750, 0.0406)
Fe (0.6250, 0.5844, 0.4594)
Fe (0.1250, 0.1656, 0.5406)
Fe (0.8344, 0.3750, 0.9594)

Computed properties:
The value obtained for the energy above the most stable polymorph in this dataset is 12 meV per atom.



No. 12
A plane-wave DFT calculation with GGA+U was carried out for a relaxed structure of Li5Co3O8.

a = 5.8381 Å, b = 5.8381 Å, c = 5.8381 Å
α = 59.61°, β = 59.61°, γ = 59.61°
Element x y z (fractional)
Li (0.5000, 0.5000, 0.5000)
Li (0.0000, 0.0000, 0.0000)
Li (0.5000, 0.5000, 0.0000)
Li (0.5000, 0.0000, 0.5000)
Li (0.0000, 0.5000, 0.5000)
O (0.2511, 0.7892, 0.2511)
O (0.2543, 0.2543, 0.2543)
O (0.2108, 0.7489, 0.7489)
O (0.7457, 0.7457, 0.7457)
O (0.7489, 0.7489, 0.2108)
O (0.7489, 0.2108, 0.7489)
O (0.7892, 0.2511, 0.2511)
O (0.2511, 0.2511, 0.7892)
Co (0.0000, 0.0000, 0.5000)
Co (0.0000, 0.5000, 0.0000)
Co (0.5000, 0.0000, 0.0000)

Computed properties:
The value obtained for the energy above the most stable polymorph in this dataset is 27 meV per atom.



Number 1: density 5.774 g/cm³, E (MP2020) -7.739 eV per atom, total energy -6.343 eV per atom. Number 2: density 3.204 g/cm³, E (MP2020) -6.876 eV per atom, total energy -6.245 eV per atom. Number 3: density 3.125 g/cm³, E (MP2020) -8.311 eV per atom, total energy -7.641 eV per atom. Number 4: density 5.337 g/cm³, E (MP2020) -6.557 eV per atom, total energy -5.804 eV per atom. Number 5: density 6.780 g/cm³, E (MP2020) -8.950 eV per atom, total energy -7.375 eV per atom. Number 6: density 2.781 g/cm³, E (MP2020) -6.529 eV per atom, total energy -5.866 eV per atom. Number 7: density 6.830 g/cm³, E (MP2020) -6.170 eV per atom, total energy -5.493 eV per atom. Number 8: density 4.695 g/cm³, E (MP2020) -7.813 eV per atom, total energy -6.570 eV per atom. Number 9: density 7.603 g/cm³, E (MP2020) -9.969 eV per atom, total energy -9.405 eV per atom. Number 10: density 5.172 g/cm³, E (MP2020) -7.523 eV per atom, total energy -6.854 eV per atom. Number 11: density 3.382 g/cm³, E (MP2020) -6.227 eV per atom, total energy -5.518 eV per atom. Number 12: density 4.043 g/cm³, E (MP2020) -6.110 eV per atom, total energy -5.459 eV per atom.